An optimized crystal structure of KCuN. Source: the Materials Project database, functional PBE.

SG: Cc (9)
Total magnetization: 0.005 μB per atom
Energy of formation from the pure elements: 0.1409 eV/atom

Cell: 8.615 3.488 8.741 Å, 90.00 90.07 90.00°
Element x y z (fractional)
K: 0.000 0.021 0.000
K: 0.000 0.979 0.500
K: 0.500 0.479 0.500
K: 0.500 0.521 0.000
Cu: 0.226 0.484 0.750
Cu: 0.226 0.516 0.250
Cu: 0.726 0.016 0.250
Cu: 0.726 0.984 0.750
N: 0.228 0.016 0.250
N: 0.228 0.984 0.750
N: 0.728 0.484 0.750
N: 0.728 0.516 0.250

An optimized crystal structure of Li8Mg3Cu9Si16O48. Source: the Materials Project database, functional PBE.

SG: P-1 (2)
Total magnetization: 0.107 μB per atom
Energy of formation from the pure elements: -2.5979 eV/atom

Cell: 8.286 8.423 14.209 Å, 76.14 74.21 72.85°
Element x y z (fractional)
Li: 0.047 0.235 0.356
Li: 0.047 0.736 0.855
Li: 0.452 0.516 0.894
Li: 0.453 0.015 0.395
Li: 0.547 0.985 0.605
Li: 0.548 0.484 0.106
Li: 0.953 0.264 0.145
Li: 0.953 0.765 0.644
Mg: 0.000 0.500 0.500
Mg: 0.500 0.250 0.749
Mg: 0.500 0.750 0.251
Cu: 0.000 0.000 0.000
Cu: 0.244 0.224 0.959
Cu: 0.244 0.724 0.460
Cu: 0.255 0.027 0.790
Cu: 0.256 0.527 0.291
Cu: 0.744 0.473 0.709
Cu: 0.745 0.973 0.210
Cu: 0.756 0.276 0.540
Cu: 0.756 0.776 0.041
Si: 0.091 0.436 0.749
Si: 0.091 0.936 0.251
Si: 0.147 0.089 0.538
Si: 0.147 0.590 0.038
Si: 0.353 0.160 0.212
Si: 0.353 0.661 0.712
Si: 0.408 0.813 0.001
Si: 0.409 0.313 0.501
Si: 0.591 0.687 0.499
Si: 0.592 0.187 0.999
Si: 0.647 0.339 0.288
Si: 0.647 0.840 0.788
Si: 0.853 0.410 0.962
Si: 0.853 0.911 0.462
Si: 0.909 0.064 0.749
Si: 0.909 0.564 0.251
O: 0.004 0.568 0.336
O: 0.005 0.072 0.832
O: 0.009 0.258 0.495
O: 0.009 0.760 0.995
O: 0.058 0.004 0.650
O: 0.058 0.505 0.151
O: 0.176 0.605 0.706
O: 0.177 0.105 0.206
O: 0.218 0.464 0.958
O: 0.220 0.963 0.458
O: 0.241 0.272 0.781
O: 0.242 0.772 0.281
O: 0.258 0.979 0.969
O: 0.260 0.478 0.469
O: 0.280 0.287 0.292
O: 0.280 0.787 0.792
O: 0.323 0.144 0.544
O: 0.324 0.644 0.044
O: 0.441 0.745 0.599
O: 0.442 0.244 0.099
O: 0.491 0.492 0.755
O: 0.491 0.992 0.255
O: 0.496 0.181 0.914
O: 0.496 0.682 0.414
O: 0.504 0.318 0.586
O: 0.504 0.819 0.086
O: 0.509 0.008 0.745
O: 0.509 0.508 0.245
O: 0.558 0.756 0.901
O: 0.559 0.255 0.401
O: 0.676 0.356 0.956
O: 0.677 0.856 0.456
O: 0.720 0.213 0.208
O: 0.720 0.713 0.708
O: 0.740 0.522 0.531
O: 0.742 0.021 0.031
O: 0.758 0.228 0.719
O: 0.759 0.728 0.219
O: 0.780 0.037 0.542
O: 0.782 0.536 0.042
O: 0.823 0.895 0.794
O: 0.824 0.395 0.294
O: 0.942 0.495 0.849
O: 0.942 0.996 0.350
O: 0.991 0.240 0.005
O: 0.991 0.742 0.505
O: 0.995 0.928 0.168
O: 0.996 0.432 0.664

An optimized crystal structure of Na4Hf2In2Si3S3O24. Source: the Materials Project database, functional PBE.

SG: P1 (1)
Total magnetization: 0.000 μB per atom
Energy of formation from the pure elements: -2.6008 eV/atom

Cell: 9.068 9.073 23.132 Å, 89.23 89.80 60.11°
Element x y z (fractional)
Na: 0.000 0.000 0.000
Na: 0.003 0.325 0.402
Na: 0.282 0.010 0.488
Na: 0.299 0.672 0.578
Na: 0.309 0.665 0.066
Na: 0.333 0.332 0.662
Na: 0.628 0.333 0.146
Na: 0.631 0.999 0.739
Na: 0.657 0.994 0.227
Na: 0.668 0.678 0.309
Na: 0.960 0.659 0.830
Na: 0.985 0.353 0.911
Hf: 0.307 0.693 0.218
Hf: 0.308 0.673 0.721
Hf: 0.629 0.017 0.388
Hf: 0.642 0.019 0.892
Hf: 0.964 0.353 0.055
Hf: 0.993 0.341 0.559
In: 0.302 0.675 0.425
In: 0.322 0.646 0.927
In: 0.641 0.010 0.595
In: 0.661 0.991 0.091
In: 0.988 0.327 0.254
In: 0.991 0.344 0.757
Si: 0.275 0.039 0.657
Si: 0.303 0.973 0.328
Si: 0.315 0.371 0.822
Si: 0.351 0.310 0.493
Si: 0.644 0.303 0.996
Si: 0.689 0.636 0.163
Si: 0.943 0.711 0.987
Si: 0.973 0.644 0.660
Si: 0.975 0.050 0.156
S: 0.012 0.676 0.325
S: 0.018 0.968 0.825
S: 0.274 0.345 0.159
S: 0.349 0.011 0.991
S: 0.603 0.675 0.824
S: 0.604 0.379 0.326
S: 0.650 0.710 0.490
S: 0.687 0.347 0.659
S: 0.934 0.014 0.491
O: 0.007 0.508 0.606
O: 0.010 0.135 0.099
O: 0.102 0.691 0.274
O: 0.111 0.650 0.379
O: 0.111 0.854 0.774
O: 0.111 0.867 0.488
O: 0.118 0.898 0.878
O: 0.123 0.712 0.984
O: 0.139 0.359 0.823
O: 0.146 0.859 0.164
O: 0.147 0.165 0.321
O: 0.160 0.127 0.596
O: 0.160 0.638 0.663
O: 0.164 0.312 0.495
O: 0.164 0.369 0.108
O: 0.181 0.169 0.994
O: 0.185 0.164 0.710
O: 0.203 0.322 0.214
O: 0.269 0.505 0.874
O: 0.284 0.893 0.390
O: 0.290 0.501 0.165
O: 0.297 0.851 0.663
O: 0.321 0.865 0.983
O: 0.323 0.499 0.485
O: 0.338 0.462 0.762
O: 0.340 0.837 0.276
O: 0.440 0.029 0.939
O: 0.445 0.196 0.154
O: 0.448 0.984 0.044
O: 0.451 0.176 0.438
O: 0.457 0.035 0.654
O: 0.457 0.226 0.552
O: 0.487 0.184 0.830
O: 0.490 0.973 0.333
O: 0.492 0.700 0.485
O: 0.493 0.499 0.990
O: 0.497 0.693 0.772
O: 0.500 0.453 0.273
O: 0.507 0.630 0.168
O: 0.516 0.506 0.661
O: 0.519 0.667 0.878
O: 0.520 0.483 0.377
O: 0.612 0.225 0.055
O: 0.626 0.817 0.540
O: 0.626 0.828 0.825
O: 0.628 0.204 0.334
O: 0.643 0.832 0.155
O: 0.659 0.200 0.654
O: 0.669 0.178 0.940
O: 0.674 0.791 0.436
O: 0.773 0.368 0.323
O: 0.773 0.519 0.821
O: 0.774 0.364 0.606
O: 0.785 0.326 0.712
O: 0.785 0.507 0.109
O: 0.791 0.562 0.224
O: 0.800 0.539 0.495
O: 0.803 0.036 0.154
O: 0.822 0.835 0.649
O: 0.827 0.797 0.927
O: 0.829 0.300 0.997
O: 0.835 0.020 0.438
O: 0.842 0.836 0.330
O: 0.852 0.966 0.827
O: 0.857 0.991 0.543
O: 0.859 0.831 0.042
O: 0.937 0.576 0.721
O: 0.940 0.162 0.214
O: 0.943 0.174 0.492
O: 0.968 0.519 0.996
O: 0.981 0.530 0.322
O: 0.982 0.143 0.815

An optimized crystal structure of CuGe3. Source: the Materials Project database, functional PBE.

SG: I4/mmm (139)
Total magnetization: 0.000 μB per atom
Energy of formation from the pure elements: 0.3229 eV/atom

Cell: 3.998 3.998 8.705 Å, 90.00 90.00 90.00°
Element x y z (fractional)
Cu: 0.000 0.000 0.000
Cu: 0.500 0.500 0.500
Ge: 0.000 0.000 0.500
Ge: 0.000 0.500 0.250
Ge: 0.000 0.500 0.750
Ge: 0.500 0.000 0.250
Ge: 0.500 0.000 0.750
Ge: 0.500 0.500 0.000

An optimized crystal structure of SmYCo4. Source: the Materials Project database, functional PBE.

SG: F-43m (216)
Energy of formation from the pure elements: -0.1075 eV/atom

Cell: 5.090 5.090 5.090 Å, 60.00 60.00 60.00°
Element x y z (fractional)
Sm: 0.000 0.000 0.000
Y: 0.250 0.250 0.250
Co: 0.125 0.625 0.625
Co: 0.625 0.125 0.625
Co: 0.625 0.625 0.125
Co: 0.625 0.625 0.625

An optimized crystal structure of KPO4. Source: the Materials Project database, functional PBE.

SG: P2_1/c (14)
Total magnetization: 0.333 μB per atom
Energy of formation from the pure elements: -2.0263 eV/atom

Cell: 7.405 7.685 9.662 Å, 90.00 129.64 90.00°
Element x y z (fractional)
K: 0.117 0.196 0.216
K: 0.117 0.304 0.716
K: 0.883 0.696 0.284
K: 0.883 0.804 0.784
P: 0.349 0.700 0.255
P: 0.349 0.800 0.755
P: 0.651 0.200 0.245
P: 0.651 0.300 0.745
O: 0.153 0.664 0.674
O: 0.153 0.836 0.174
O: 0.302 0.549 0.333
O: 0.302 0.951 0.833
O: 0.343 0.626 0.102
O: 0.343 0.874 0.602
O: 0.405 0.220 0.603
O: 0.405 0.280 0.103
O: 0.595 0.720 0.897
O: 0.595 0.780 0.397
O: 0.657 0.126 0.398
O: 0.657 0.374 0.898
O: 0.698 0.049 0.167
O: 0.698 0.451 0.667
O: 0.847 0.164 0.826
O: 0.847 0.336 0.326

An optimized crystal structure of HfCrAgS4. Source: the Materials Project database, functional PBE.

SG: P1 (1)
Total magnetization: 0.428 μB per atom
Energy of formation from the pure elements: -1.1955 eV/atom

Cell: 6.132 7.115 13.292 Å, 89.83 89.80 89.92°
Element x y z (fractional)
Hf: 0.000 0.000 0.000
Hf: 0.000 0.499 0.000
Hf: 0.002 0.515 0.497
Hf: 0.502 0.234 0.503
Cr: 0.499 0.752 0.496
Cr: 0.501 0.250 0.996
Cr: 0.501 0.750 0.003
Cr: 0.998 0.998 0.499
Ag: 0.163 0.250 0.753
Ag: 0.481 0.246 0.254
Ag: 0.525 0.754 0.749
Ag: 0.850 0.748 0.246
S: 0.161 0.242 0.394
S: 0.174 0.766 0.393
S: 0.175 0.749 0.109
S: 0.180 0.249 0.107
S: 0.318 0.986 0.606
S: 0.341 0.507 0.607
S: 0.348 0.001 0.894
S: 0.348 0.499 0.894
S: 0.652 0.499 0.105
S: 0.652 0.999 0.105
S: 0.657 0.507 0.391
S: 0.678 0.988 0.392
S: 0.819 0.762 0.601
S: 0.823 0.750 0.894
S: 0.825 0.250 0.891
S: 0.845 0.241 0.607

An optimized crystal structure of B2O3. Source: the Materials Project database, functional PBE.

SG: P1 (1)
Total magnetization: 0.000 μB per atom
Energy of formation from the pure elements: -2.6760 eV/atom

Cell: 10.696 11.595 11.744 Å, 87.38 88.06 86.31°
Element x y z (fractional)
B: 0.000 0.000 0.000
B: 0.008 0.551 0.413
B: 0.043 0.458 0.932
B: 0.059 0.928 0.435
B: 0.073 0.800 0.048
B: 0.090 0.739 0.349
B: 0.099 0.349 0.430
B: 0.144 0.640 0.935
B: 0.158 0.401 0.115
B: 0.185 0.307 0.624
B: 0.199 0.110 0.701
B: 0.229 0.264 0.821
B: 0.240 0.959 0.579
B: 0.250 0.661 0.102
B: 0.288 0.310 0.288
B: 0.312 0.775 0.357
B: 0.370 0.219 0.964
B: 0.409 0.895 0.466
B: 0.416 0.936 0.270
B: 0.461 0.066 0.083
B: 0.473 0.625 0.154
B: 0.529 0.325 0.292
B: 0.564 0.534 0.342
B: 0.575 0.135 0.917
B: 0.618 0.713 0.002
B: 0.639 0.699 0.449
B: 0.693 0.834 0.603
B: 0.697 0.303 0.596
B: 0.710 0.798 0.830
B: 0.720 0.850 0.292
B: 0.756 0.262 0.258
B: 0.771 0.219 0.878
B: 0.834 0.769 0.020
B: 0.863 0.179 0.074
B: 0.868 0.909 0.522
B: 0.870 0.281 0.448
B: 0.901 0.375 0.789
B: 0.933 0.876 0.841
B: 0.938 0.545 0.634
B: 0.948 0.759 0.662
O: 0.002 0.658 0.354
O: 0.049 0.855 0.347
O: 0.065 0.458 0.365
O: 0.067 0.431 0.051
O: 0.082 0.923 0.052
O: 0.084 0.555 0.881
O: 0.097 0.752 0.931
O: 0.149 0.382 0.541
O: 0.157 0.740 0.131
O: 0.173 0.936 0.485
O: 0.191 0.996 0.681
O: 0.196 0.188 0.609
O: 0.205 0.285 0.368
O: 0.207 0.344 0.735
O: 0.212 0.147 0.810
O: 0.215 0.705 0.367
O: 0.244 0.603 0.001
O: 0.245 0.371 0.181
O: 0.270 0.292 0.928
O: 0.337 0.847 0.262
O: 0.346 0.625 0.174
O: 0.366 0.153 0.064
O: 0.369 0.942 0.568
O: 0.388 0.780 0.450
O: 0.413 0.282 0.283
O: 0.455 0.964 0.377
O: 0.457 0.994 0.175
O: 0.477 0.215 0.894
O: 0.514 0.668 0.048
O: 0.541 0.421 0.355
O: 0.556 0.591 0.236
O: 0.561 0.052 0.004
O: 0.599 0.592 0.436
O: 0.600 0.346 0.639
O: 0.614 0.751 0.888
O: 0.629 0.269 0.235
O: 0.639 0.743 0.558
O: 0.684 0.142 0.852
O: 0.685 0.761 0.355
O: 0.708 0.835 0.720
O: 0.726 0.722 0.061
O: 0.740 0.926 0.539
O: 0.749 0.930 0.226
O: 0.791 0.235 0.991
O: 0.794 0.306 0.355
O: 0.802 0.257 0.551
O: 0.824 0.812 0.894
O: 0.825 0.283 0.790
O: 0.843 0.209 0.185
O: 0.904 0.448 0.696
O: 0.917 0.797 0.554
O: 0.937 0.772 0.075
O: 0.944 0.545 0.519
O: 0.948 0.986 0.474
O: 0.952 0.645 0.695
O: 0.954 0.974 0.893
O: 0.961 0.101 0.049
O: 0.971 0.845 0.736
O: 0.972 0.382 0.886
O: 0.994 0.276 0.449

An optimized crystal structure of Ba5MgBi3O11. Source: the Materials Project database, functional PBE.

SG: Pm (6)
Total magnetization: 0.000 μB per atom
Energy of formation from the pure elements: -2.2557 eV/atom

Cell: 6.454 9.502 6.791 Å, 90.00 91.06 90.00°
Element x y z (fractional)
Ba: 0.000 0.000 0.000
Ba: 0.492 0.258 0.967
Ba: 0.492 0.742 0.967
Ba: 0.880 0.214 0.426
Ba: 0.880 0.786 0.426
Mg: 0.009 0.500 0.610
Bi: 0.432 0.000 0.532
Bi: 0.488 0.500 0.556
Bi: 0.977 0.500 0.068
O: 0.138 0.000 0.382
O: 0.198 0.500 0.376
O: 0.239 0.500 0.821
O: 0.374 0.000 0.871
O: 0.498 0.248 0.577
O: 0.498 0.752 0.577
O: 0.676 0.000 0.292
O: 0.767 0.500 0.794
O: 0.776 0.500 0.371
O: 0.897 0.259 0.056
O: 0.897 0.741 0.056

> Look up the energy of formation from the pure elements of the eighth one.

-2.6760 eV/atom

> Look up the energy of formation from the pure elements of the first one.

0.1409 eV/atom

> The lowest energy of formation from the pure elements belongs to which entry?

B2O3

> Among the records above, which one has the lowest energy of formation from the pure elements?

B2O3